A plane-wave DFT calculation with PBE was carried out for crystalline Ca4Sb2S at its relaxed geometry.

The space group is I-42d (No. 122) and the conventional cell measures 9.1728, 9.1728 and 9.5403 Å, with angles of 90.00, 90.00 and 90.00 degrees. The distinct sites, in fractional coordinates, are Ca at (0.0702, 0.6920, 0.4445), Sb at (0.1276, 0.7500, 0.1250) and S at (0.0000, 0.0000, 0.5000).

The corrected total energy (MP2020 scheme) comes out at -4.2576 eV/atom. The calculation puts the largest piezoelectric modulus at 2.22 C/m². As for the uncorrected energy: -4.186 eV per atom. The calculation puts the energy relative to the elements at -1341 meV per atom.